Record 1
The following is a DFT calculation (PBE-GGA) of crystalline As3Pb5ClO12 at its relaxed geometry.

Total DFT energy (no corrections): -5.799 eV per atom
Energy of formation from the pure elements: -1.7265 eV per atom
Symmetry: P2_1/c, No. 14
Excess energy over the best structure of this formula in the dataset: 0.00 kcal/mol of atoms
Total magnetic moment: 0.00 μB per formula unit

abc: 7.5870 10.4548 20.9529
angles: 60.10 90.00 90.00
Element x y z (fractional)
O (0.4482, 0.3729, 0.2041)
O (0.7187, 0.1140, 0.4921)
O (0.5928, 0.2500, 0.0800)
O (0.5458, 0.2909, 0.5589)
O (0.0867, 0.3503, 0.2031)
O (0.7470, 0.3965, 0.3100)
O (0.2511, 0.3345, 0.3301)
O (0.7694, 0.4823, 0.4502)
O (0.9482, 0.6271, 0.2959)
O (0.4044, 0.9162, 0.6249)
O (0.9542, 0.2909, 0.0589)
O (0.5956, 0.0838, 0.3751)
O (0.5867, 0.6497, 0.2969)
O (0.7511, 0.6655, 0.1699)
O (0.7813, 0.1140, 0.9921)
O (0.2480, 0.1651, 0.5024)
O (0.9072, 0.2500, 0.5800)
O (0.5518, 0.6271, 0.7959)
O (0.0434, 0.9115, 0.6010)
O (0.0956, 0.9162, 0.1249)
O (0.2694, 0.5177, 0.0498)
O (0.0518, 0.3729, 0.7041)
O (0.7306, 0.4823, 0.9502)
O (0.4566, 0.9115, 0.1010)
O (0.4542, 0.7091, 0.4411)
O (0.2187, 0.8860, 0.0079)
O (0.0458, 0.7091, 0.9411)
O (0.2489, 0.3345, 0.8301)
O (0.7516, 0.4931, 0.0846)
O (0.2530, 0.6035, 0.6900)
O (0.2520, 0.1651, 0.0024)
O (0.2484, 0.5069, 0.9154)
O (0.7489, 0.6655, 0.6699)
O (0.2470, 0.6035, 0.1900)
O (0.7520, 0.8349, 0.4976)
O (0.9566, 0.0885, 0.3990)
O (0.2813, 0.8860, 0.5079)
O (0.9044, 0.0838, 0.8751)
O (0.7530, 0.3965, 0.8100)
O (0.2516, 0.5069, 0.4154)
O (0.0928, 0.7500, 0.4200)
O (0.9133, 0.6497, 0.7969)
O (0.7480, 0.8349, 0.9976)
O (0.4072, 0.7500, 0.9200)
O (0.5434, 0.0885, 0.8990)
O (0.4133, 0.3503, 0.7031)
O (0.2306, 0.5177, 0.5498)
O (0.7484, 0.4931, 0.5846)
Pb (0.2217, 0.7574, 0.2454)
Pb (0.7293, 0.7446, 0.3707)
Pb (0.2292, 0.9894, 0.3778)
Pb (0.7707, 0.7446, 0.8707)
Pb (0.5082, 0.6657, 0.0888)
Pb (0.9938, 0.6676, 0.0768)
Pb (0.2708, 0.9894, 0.8778)
Pb (0.4918, 0.3343, 0.9112)
Pb (0.7292, 0.0106, 0.1222)
Pb (0.0062, 0.3324, 0.9232)
Pb (0.2293, 0.2554, 0.1293)
Pb (0.7708, 0.0106, 0.6222)
Pb (0.4938, 0.3324, 0.4232)
Pb (0.2707, 0.2554, 0.6293)
Pb (0.7217, 0.2426, 0.2546)
Pb (0.9918, 0.6657, 0.5888)
Pb (0.5062, 0.6676, 0.5768)
Pb (0.0082, 0.3343, 0.4112)
Pb (0.7783, 0.2426, 0.7546)
Pb (0.2783, 0.7574, 0.7454)
As (0.7443, 0.0241, 0.9423)
As (0.7438, 0.5883, 0.7641)
As (0.2562, 0.4117, 0.2359)
As (0.2438, 0.4117, 0.7359)
As (0.2446, 0.6171, 0.9547)
As (0.2557, 0.9759, 0.0577)
As (0.7557, 0.0241, 0.4423)
As (0.2443, 0.9759, 0.5577)
As (0.7554, 0.3829, 0.0453)
As (0.2554, 0.6171, 0.4547)
As (0.7446, 0.3829, 0.5453)
As (0.7562, 0.5883, 0.2641)
Cl (0.0127, 0.9972, 0.7496)
Cl (0.9873, 0.0028, 0.2504)
Cl (0.4873, 0.9972, 0.2496)
Cl (0.5127, 0.0028, 0.7504)



Record 2
The following is a DFT calculation (PBE-GGA) of crystalline CeAl2Ag3 at its relaxed geometry.

Total DFT energy (no corrections): -3.918 eV per atom
Energy of formation from the pure elements: -0.2641 eV per atom
Symmetry: Cmmm, No. 65

abc: 5.5319 5.5319 4.5702
angles: 90.00 90.00 120.64
Element x y z (fractional)
Ce (0.5000, 0.5000, 0.0000)
Al (0.0000, 0.5000, 0.5000)
Al (0.5000, 0.0000, 0.5000)
Ag (0.1759, 0.8241, 0.0000)
Ag (0.0000, 0.0000, 0.5000)
Ag (0.8241, 0.1759, 0.0000)



Record 3
The following is a DFT calculation (PBE-GGA) of crystalline Na2Mg2S3O12 at its relaxed geometry.

Total DFT energy (no corrections): -5.990 eV per atom
Energy of formation from the pure elements: -2.3380 eV per atom

abc: 8.8040 8.8040 22.4924
angles: 90.26 89.74 120.60
Element x y z (fractional)
O (0.1926, 0.0156, 0.5895)
O (0.3027, 0.4561, 0.4682)
O (0.5439, 0.6973, 0.9682)
O (0.5461, 0.8528, 0.4700)
O (0.4805, 0.1205, 0.6366)
O (0.8528, 0.5461, 0.0300)
O (0.3109, 0.8420, 0.2563)
O (0.7895, 0.9694, 0.6985)
O (0.8036, 0.8293, 0.9100)
O (0.1472, 0.4539, 0.9700)
O (0.6443, 0.5086, 0.9229)
O (0.5195, 0.8795, 0.3634)
O (0.4741, 0.3177, 0.7439)
O (0.1626, 0.4703, 0.2567)
O (0.1707, 0.1964, 0.4100)
O (0.9844, 0.8074, 0.0895)
O (0.5086, 0.6443, 0.5771)
O (0.3177, 0.4741, 0.7561)
O (0.3605, 0.4785, 0.3612)
O (0.1753, 0.9776, 0.9104)
O (0.1407, 0.6511, 0.0772)
O (0.1205, 0.4805, 0.8634)
O (0.8631, 0.5041, 0.4234)
O (0.1452, 0.6938, 0.4721)
O (0.6823, 0.5259, 0.2439)
O (0.4703, 0.1626, 0.2433)
O (0.1580, 0.6891, 0.7563)
O (0.8247, 0.0224, 0.0896)
O (0.8420, 0.3109, 0.2437)
O (0.5215, 0.6395, 0.8612)
O (0.8795, 0.5195, 0.1366)
O (0.4785, 0.3605, 0.1388)
O (0.5259, 0.6823, 0.2561)
O (0.5041, 0.8631, 0.0766)
O (0.9776, 0.1753, 0.5896)
O (0.8548, 0.3062, 0.5279)
O (0.1861, 0.2128, 0.6967)
O (0.0156, 0.1926, 0.9105)
O (0.7872, 0.8139, 0.1967)
O (0.3489, 0.8593, 0.5772)
O (0.1964, 0.1707, 0.0900)
O (0.6938, 0.1452, 0.0279)
O (0.8118, 0.0271, 0.8055)
O (0.8374, 0.5297, 0.7433)
O (0.0271, 0.8118, 0.6945)
O (0.8293, 0.8036, 0.5900)
O (0.6395, 0.5215, 0.6388)
O (0.4959, 0.1369, 0.9234)
O (0.8139, 0.7872, 0.3033)
O (0.6973, 0.5439, 0.5318)
O (0.8074, 0.9844, 0.4105)
O (0.8593, 0.3489, 0.9228)
O (0.1228, 0.6360, 0.3651)
O (0.0224, 0.8247, 0.4104)
O (0.4561, 0.3027, 0.0318)
O (0.2128, 0.1861, 0.8033)
O (0.1369, 0.4959, 0.5766)
O (0.1882, 0.9729, 0.1945)
O (0.4914, 0.3557, 0.4229)
O (0.6360, 0.1228, 0.1349)
O (0.0306, 0.2105, 0.1985)
O (0.3640, 0.8772, 0.8651)
O (0.3062, 0.8548, 0.9721)
O (0.2105, 0.0306, 0.3015)
O (0.9694, 0.7895, 0.8015)
O (0.8772, 0.3640, 0.6349)
O (0.5297, 0.8374, 0.7567)
O (0.6891, 0.1580, 0.7437)
O (0.3557, 0.4914, 0.0771)
O (0.9729, 0.1882, 0.3055)
O (0.6511, 0.1407, 0.4228)
O (0.4539, 0.1472, 0.5300)
Na (0.0000, 0.0000, 0.5000)
Na (0.6363, 0.6363, 0.7500)
Na (0.3029, 0.9696, 0.0833)
Na (0.6667, 0.3333, 0.3333)
Na (0.3333, 0.6667, 0.1667)
Na (0.6971, 0.0304, 0.9167)
Na (0.0000, 0.0000, 0.0000)
Na (0.3333, 0.6667, 0.6667)
Na (0.3637, 0.3637, 0.2500)
Na (0.0304, 0.6971, 0.5833)
Na (0.9696, 0.3029, 0.4167)
Na (0.6667, 0.3333, 0.8333)
S (0.6648, 0.6255, 0.5842)
S (0.9594, 0.6261, 0.0833)
S (0.6255, 0.6648, 0.9158)
S (0.0412, 0.6685, 0.4176)
S (0.3352, 0.3745, 0.4158)
S (0.2921, 0.9981, 0.2491)
S (0.7079, 0.0019, 0.7509)
S (0.2927, 0.2927, 0.7500)
S (0.9981, 0.2921, 0.2509)
S (0.7073, 0.7073, 0.2500)
S (0.3315, 0.9588, 0.9176)
S (0.3739, 0.0406, 0.5833)
S (0.0406, 0.3739, 0.9167)
S (0.6261, 0.9594, 0.4167)
S (0.9588, 0.3315, 0.5824)
S (0.3745, 0.3352, 0.0842)
S (0.6685, 0.0412, 0.0824)
S (0.0019, 0.7079, 0.7491)
Mg (0.3358, 0.6754, 0.3163)
Mg (0.9913, 0.9976, 0.1496)
Mg (0.3420, 0.6691, 0.5171)
Mg (0.0087, 0.0024, 0.8504)
Mg (0.6754, 0.3358, 0.1837)
Mg (0.6580, 0.3309, 0.4829)
Mg (0.3246, 0.6642, 0.8163)
Mg (0.6642, 0.3246, 0.6837)
Mg (0.9976, 0.9913, 0.3504)
Mg (0.0024, 0.0087, 0.6496)
Mg (0.6691, 0.3420, 0.9829)
Mg (0.3309, 0.6580, 0.0171)